1.
SrMg2Bi2 | GGA-PBE | optimized geometry

Cell lengths 4.8673, 4.8673, 8.0338 Å; angles 90.00, 90.00, 120.00 degrees
Closest atoms and distances in Å follow each position.
Fractional positions:
Sr1 0.0000 0.0000 0.0000  6 Bi 3.47
Mg1 0.3333 0.6667 0.3752  4 Bi 2.98-2.99
Mg2 0.6667 0.3333 0.6248  4 Bi 2.98-2.99
Bi1 0.3333 0.6667 0.7471  4 Mg 2.98-2.99
Bi2 0.6667 0.3333 0.2529  4 Mg 2.98-2.99

Computed properties:
As for the symmetry: P-3m1, No. 164. The calculation puts the formation energy at -0.5747 eV/atom. For the total energy, the calculation gives -3.109 eV/atom.

---

2.
Li6AsS5I | GGA-PBE | optimized geometry

Cell lengths 7.3016, 7.3016, 12.7337 Å; angles 106.45, 106.45, 60.08 degrees
Closest atoms and distances in Å follow each position.
Fractional positions:
Li1 0.0230 0.9770 0.5000  3 S 2.37-2.44
Li2 0.0334 0.5401 0.5172  3 S 2.37-2.44
Li3 0.1559 0.8433 0.2778  3 S 2.43-2.53
Li4 0.2964 0.3537 0.7779  3 S 2.43-2.54
Li5 0.3537 0.2964 0.2779  3 S 2.43-2.54
Li6 0.4727 0.5256 0.5078  3 S 2.35-2.43
Li7 0.5256 0.4727 0.0078  3 S 2.35-2.43
Li8 0.5401 0.0334 0.0172  3 S 2.37-2.44
Li9 0.6370 0.8051 0.7801  3 S 2.43-2.54
Li10 0.8051 0.6370 0.2801  3 S 2.43-2.54
Li11 0.8433 0.1559 0.7778  3 S 2.43-2.53
Li12 0.9770 0.0230 0.0000  3 S 2.37-2.44
As1 0.0116 0.5127 0.0174  4 S 2.18-2.20
As2 0.5127 0.0116 0.5174  4 S 2.18-2.20
S1 0.1390 0.6324 0.3882  6 Li 2.35-2.43
S2 0.1924 0.6996 0.0803  1 As 2.20, 2 Li 2.42-2.43
S3 0.1986 0.2082 0.0805  1 As 2.19, 2 Li 2.42-2.44
S4 0.2082 0.1986 0.5805  1 As 2.19, 2 Li 2.42-2.44
S5 0.4570 0.9478 0.3361  1 As 2.18
S6 0.6324 0.1390 0.8882  6 Li 2.35-2.43
S7 0.6921 0.7095 0.5830  1 As 2.20, 2 Li 2.42-2.44
S8 0.6996 0.1924 0.5803  1 As 2.20, 2 Li 2.42-2.43
S9 0.7095 0.6921 0.0830  1 As 2.20, 2 Li 2.42-2.44
S10 0.9478 0.4570 0.8361  1 As 2.18
I1 0.2530 0.7638 0.7648  3 Li 2.90-2.94
I2 0.7638 0.2530 0.2648  3 Li 2.90-2.94

Computed properties:
As for the symmetry: Cc, No. 9. The calculation puts the formation energy at -1.2133 eV/atom. For the total energy, the calculation gives -3.938 eV/atom. The polymorph energy (0 for the lowest one) is 5.4 meV/atom.

---

3.
Pr9Ga5Se21 | GGA-PBE | optimized geometry

Cell lengths 12.3400, 12.3400, 12.3400 Å; angles 96.16, 96.16, 96.16 degrees
Closest atoms and distances in Å follow each position.
Fractional positions:
Pr1 0.0291 0.7995 0.6571  7 Se 2.97-3.32
Pr2 0.0304 0.1719 0.7978  8 Se 2.98-3.32
Pr3 0.1278 0.3596 0.4995  7 Se 3.01-3.33
Pr4 0.1292 0.9921 0.3628  7 Se 3.00-3.18
Pr5 0.1719 0.7978 0.0304  8 Se 2.98-3.32
Pr6 0.3288 0.7025 0.4690  8 Se 2.99-3.32
Pr7 0.3596 0.4995 0.1278  7 Se 3.01-3.33
Pr8 0.3628 0.1292 0.9921  7 Se 3.00-3.18
Pr9 0.4602 0.6922 0.8308  7 Se 2.97-3.17
Pr10 0.4690 0.3288 0.7025  8 Se 2.99-3.32
Pr11 0.4995 0.1278 0.3596  7 Se 3.01-3.33
Pr12 0.6571 0.0291 0.7995  7 Se 2.97-3.32
Pr13 0.6922 0.8308 0.4602  7 Se 2.97-3.17
Pr14 0.7025 0.4690 0.3288  8 Se 2.99-3.32
Pr15 0.7978 0.0304 0.1719  8 Se 2.98-3.32
Pr16 0.7995 0.6571 0.0291  7 Se 2.97-3.32
Pr17 0.8308 0.4602 0.6922  7 Se 2.97-3.17
Pr18 0.9921 0.3628 0.1292  7 Se 3.00-3.18
Ga1 0.1005 0.1005 0.1005  6 Se 2.60-2.78
Ga2 0.1355 0.4703 0.8022  4 Se 2.39-2.43
Ga3 0.3021 0.9695 0.6363  4 Se 2.39-2.44
Ga4 0.4015 0.4015 0.4015  3 Se 2.50
Ga5 0.4703 0.8022 0.1355  4 Se 2.39-2.43
Ga6 0.6005 0.6005 0.6005  6 Se 2.60-2.77
Ga7 0.6363 0.3021 0.9695  4 Se 2.39-2.44
Ga8 0.8022 0.1355 0.4703  4 Se 2.39-2.43
Ga9 0.9012 0.9012 0.9012  3 Se 2.50
Ga10 0.9695 0.6363 0.3021  4 Se 2.39-2.44
Se1 0.0289 0.1860 0.2772  1 Ga 2.60
Se2 0.0291 0.6061 0.1216  1 Ga 2.42
Se3 0.0619 0.5492 0.6416  1 Ga 2.43
Se4 0.0939 0.7629 0.4288  1 Ga 2.39
Se5 0.1216 0.0291 0.6061  1 Ga 2.42
Se6 0.1330 0.9899 0.9008  2 Ga 2.78-2.95, 2 Pr 3.02-3.05
Se7 0.1860 0.2772 0.0289  1 Ga 2.60
Se8 0.2157 0.3117 0.7269  1 Ga 2.43
Se9 0.2327 0.4773 0.3282  1 Ga 2.50
Se10 0.2634 0.5940 0.9283  1 Ga 2.39
Se11 0.2688 0.7883 0.6961  1 Ga 2.44
Se12 0.2772 0.0289 0.1860  1 Ga 2.60
Se13 0.3117 0.7269 0.2157  1 Ga 2.43
Se14 0.3282 0.2327 0.4773  1 Ga 2.50
Se15 0.3576 0.9434 0.4525  1 Ga 2.44
Se16 0.3829 0.5267 0.6147  2 Ga 2.77-2.95, 2 Pr 3.02-3.05
Se17 0.4021 0.8818 0.9731  1 Ga 2.43
Se18 0.4288 0.0939 0.7629  1 Ga 2.39
Se19 0.4525 0.3576 0.9434  1 Ga 2.44
Se20 0.4773 0.3282 0.2327  1 Ga 2.50
Se21 0.5267 0.6147 0.3829  2 Ga 2.77-2.95, 2 Pr 3.02-3.05
Se22 0.5492 0.6416 0.0619  1 Ga 2.43
Se23 0.5508 0.7991 0.6422  1 Ga 2.60
Se24 0.5940 0.9283 0.2634  1 Ga 2.39
Se25 0.6061 0.1216 0.0291  1 Ga 2.42
Se26 0.6147 0.3829 0.5267  2 Ga 2.77-2.95, 2 Pr 3.02-3.05
Se27 0.6416 0.0619 0.5492  1 Ga 2.43
Se28 0.6422 0.5508 0.7991  1 Ga 2.60
Se29 0.6961 0.2688 0.7883  1 Ga 2.44
Se30 0.7146 0.8634 0.9596  1 Ga 2.50
Se31 0.7269 0.2157 0.3117  1 Ga 2.43
Se32 0.7629 0.4288 0.0939  1 Ga 2.39
Se33 0.7883 0.6961 0.2688  1 Ga 2.44
Se34 0.7991 0.6422 0.5508  1 Ga 2.60
Se35 0.8634 0.9596 0.7146  1 Ga 2.50
Se36 0.8818 0.9731 0.4021  1 Ga 2.43
Se37 0.9008 0.1330 0.9899  2 Ga 2.78-2.95, 2 Pr 3.02-3.05
Se38 0.9283 0.2634 0.5940  1 Ga 2.39
Se39 0.9434 0.4525 0.3576  1 Ga 2.44
Se40 0.9596 0.7146 0.8634  1 Ga 2.50
Se41 0.9731 0.4021 0.8818  1 Ga 2.43
Se42 0.9899 0.9008 0.1330  2 Ga 2.78-2.95, 2 Pr 3.02-3.05

Computed properties:
As for the symmetry: R3, No. 146. The calculation puts the formation energy at -1.6905 eV/atom. For the total energy, the calculation gives -5.167 eV/atom.

---

4.
UH16C6SeN4O8 | GGA-PBE | optimized geometry

Cell lengths 7.2196, 15.0433, 16.1777 Å; angles 90.00, 113.31, 90.00 degrees
Closest atoms and distances in Å follow each position.
Fractional positions:
U1 0.1447 0.1363 0.3875  2 O 1.81-1.82
U2 0.1447 0.3637 0.8875  2 O 1.81-1.82
U3 0.8553 0.6363 0.1125  2 O 1.81-1.82
U4 0.8553 0.8637 0.6125  2 O 1.81-1.82
H1 0.0184 0.6395 0.5723  1 C 1.10
H2 0.0184 0.8605 0.0723  1 C 1.10
H3 0.0693 0.7278 0.3831  1 C 1.10
H4 0.0693 0.7722 0.8831  1 C 1.10
H5 0.1784 0.0973 0.8814  1 C 1.09
H6 0.1784 0.4027 0.3814  1 C 1.09
H7 0.2151 0.5596 0.5953  1 C 1.10
H8 0.2151 0.9404 0.0953  1 C 1.10
H9 0.2266 0.1298 0.1842  1 C 1.10
H10 0.2266 0.3702 0.6842  1 C 1.10
H11 0.2694 0.6762 0.6000  1 C 1.10
H12 0.2694 0.8238 0.1000  1 C 1.10
H13 0.2759 0.0017 0.8486  1 C 1.10
H14 0.2759 0.4983 0.3486  1 C 1.10
H15 0.2895 0.5693 0.7469  1 N 1.02
H16 0.2895 0.9307 0.2469  1 N 1.02
H17 0.2924 0.0761 0.7280  1 N 1.02
H18 0.2924 0.4239 0.2280  1 N 1.02
H19 0.2997 0.7357 0.9695  1 C 1.09
H20 0.2997 0.7643 0.4695  1 C 1.09
H21 0.3009 0.1886 0.6448  1 N 1.02
H22 0.3009 0.3114 0.1448  1 N 1.02
H23 0.3033 0.6796 0.3926  1 C 1.10
H24 0.3033 0.8204 0.8926  1 C 1.10
H25 0.3343 0.6334 0.8740  1 N 1.02
H26 0.3343 0.8666 0.3740  1 N 1.02
H27 0.3388 0.1689 0.1101  1 C 1.10
H28 0.3388 0.3311 0.6101  1 C 1.10
H29 0.4440 0.0860 0.9164  1 C 1.10
H30 0.4440 0.4140 0.4164  1 C 1.10
H31 0.4909 0.1524 0.2273  1 C 1.10
H32 0.4909 0.3476 0.7273  1 C 1.10
H33 0.5091 0.6524 0.2727  1 C 1.10
H34 0.5091 0.8476 0.7727  1 C 1.10
H35 0.5560 0.5860 0.5836  1 C 1.10
H36 0.5560 0.9140 0.0836  1 C 1.10
H37 0.6612 0.6689 0.3899  1 C 1.10
H38 0.6612 0.8311 0.8899  1 C 1.10
H39 0.6657 0.1334 0.6260  1 N 1.02
H40 0.6657 0.3666 0.1260  1 N 1.02
H41 0.6967 0.1796 0.1074  1 C 1.10
H42 0.6967 0.3204 0.6074  1 C 1.10
H43 0.6991 0.6886 0.8552  1 N 1.02
H44 0.6991 0.8114 0.3552  1 N 1.02
H45 0.7003 0.2357 0.5305  1 C 1.09
H46 0.7003 0.2643 0.0305  1 C 1.09
H47 0.7076 0.5761 0.7720  1 N 1.02
H48 0.7076 0.9239 0.2720  1 N 1.02
H49 0.7105 0.0693 0.7531  1 N 1.02
H50 0.7105 0.4307 0.2531  1 N 1.02
H51 0.7241 0.5017 0.6514  1 C 1.10
H52 0.7241 0.9983 0.1514  1 C 1.10
H53 0.7306 0.1762 0.9000  1 C 1.10
H54 0.7306 0.3238 0.4000  1 C 1.10
H55 0.7734 0.6298 0.3158  1 C 1.10
H56 0.7734 0.8702 0.8158  1 C 1.10
H57 0.7849 0.0596 0.9047  1 C 1.10
H58 0.7849 0.4404 0.4047  1 C 1.10
H59 0.8216 0.5973 0.6186  1 C 1.09
H60 0.8216 0.9027 0.1186  1 C 1.09
H61 0.9308 0.2278 0.1169  1 C 1.10
H62 0.9308 0.2722 0.6169  1 C 1.10
H63 0.9816 0.1395 0.9277  1 C 1.10
H64 0.9816 0.3605 0.4277  1 C 1.10
C1 0.1774 0.6250 0.6142  3 H 1.10
C2 0.1774 0.8750 0.1142  3 H 1.10
C3 0.1856 0.6937 0.7531  1 O 1.27, 2 N 1.35
C4 0.1856 0.8063 0.2531  1 O 1.27, 2 N 1.35
C5 0.2294 0.7414 0.3997  3 H 1.09-1.10
C6 0.2294 0.7586 0.8997  3 H 1.09-1.10
C7 0.2971 0.0733 0.8610  3 H 1.09-1.10
C8 0.2971 0.4267 0.3610  3 H 1.09-1.10
C9 0.2996 0.2038 0.7700  1 O 1.27, 2 N 1.35
C10 0.2996 0.2962 0.2700  1 O 1.27, 2 N 1.35
C11 0.3422 0.1738 0.1782  3 H 1.10
C12 0.3422 0.3262 0.6782  3 H 1.10
C13 0.6578 0.6738 0.3218  3 H 1.10
C14 0.6578 0.8262 0.8218  3 H 1.10
C15 0.7004 0.7038 0.7300  1 O 1.27, 2 N 1.35
C16 0.7004 0.7962 0.2300  1 O 1.27, 2 N 1.35
C17 0.7029 0.5733 0.6390  3 H 1.09-1.10
C18 0.7029 0.9267 0.1390  3 H 1.09-1.10
C19 0.7706 0.2414 0.1003  3 H 1.09-1.10
C20 0.7706 0.2586 0.6003  3 H 1.09-1.10
C21 0.8144 0.1937 0.7469  1 O 1.27, 2 N 1.35
C22 0.8144 0.3063 0.2469  1 O 1.27, 2 N 1.35
C23 0.8226 0.1250 0.8858  3 H 1.10
C24 0.8226 0.3750 0.3858  3 H 1.10
Se1 0.3204 0.5399 0.0687  4 O 1.66-1.69
Se2 0.3204 0.9601 0.5687  4 O 1.66-1.69
Se3 0.6796 0.0399 0.4313  4 O 1.66-1.69
Se4 0.6796 0.4601 0.9313  4 O 1.66-1.69
N1 0.2139 0.6219 0.7089  1 H 1.02
N2 0.2139 0.8781 0.2089  1 H 1.02
N3 0.2543 0.6884 0.8435  1 H 1.02
N4 0.2543 0.8116 0.3435  1 H 1.02
N5 0.2829 0.1150 0.7780  1 H 1.02
N6 0.2829 0.3850 0.2780  1 H 1.02
N7 0.3027 0.2339 0.6918  1 H 1.02
N8 0.3027 0.2661 0.1918  1 H 1.02
N9 0.6973 0.7339 0.8082  1 H 1.02
N10 0.6973 0.7661 0.3082  1 H 1.02
N11 0.7171 0.6150 0.7220  1 H 1.02
N12 0.7171 0.8850 0.2220  1 H 1.02
N13 0.7457 0.1884 0.6565  1 H 1.02
N14 0.7457 0.3116 0.1565  1 H 1.02
N15 0.7861 0.1219 0.7911  1 H 1.02
N16 0.7861 0.3781 0.2911  1 H 1.02
O1 0.0907 0.0659 0.2900  1 U 1.81
O2 0.0907 0.4341 0.7900  1 U 1.81
O3 0.0988 0.7366 0.2108  1 C 1.27
O4 0.0988 0.7634 0.7108  1 C 1.27
O5 0.1779 0.0006 0.4659  1 Se 1.69
O6 0.1779 0.4994 0.9659  1 Se 1.69
O7 0.1805 0.6099 0.1001  1 Se 1.67
O8 0.1805 0.8901 0.6001  1 Se 1.67
O9 0.2050 0.2031 0.4882  1 U 1.82
O10 0.2050 0.2969 0.9882  1 U 1.82
O11 0.3133 0.2435 0.3338  1 C 1.27
O12 0.3133 0.2565 0.8338  1 C 1.27
O13 0.4174 0.0400 0.6446  1 Se 1.66
O14 0.4174 0.4600 0.1446  1 Se 1.66
O15 0.4997 0.1003 0.4468  1 Se 1.68
O16 0.4997 0.3997 0.9468  1 Se 1.68
O17 0.5003 0.6003 0.0532  1 Se 1.68
O18 0.5003 0.8997 0.5532  1 Se 1.68
O19 0.5826 0.5400 0.8554  1 Se 1.66
O20 0.5826 0.9600 0.3554  1 Se 1.66
O21 0.6867 0.7435 0.1662  1 C 1.27
O22 0.6867 0.7565 0.6662  1 C 1.27
O23 0.7950 0.7031 0.0118  1 U 1.82
O24 0.7950 0.7969 0.5118  1 U 1.82
O25 0.8195 0.1099 0.3999  1 Se 1.67
O26 0.8195 0.3901 0.8999  1 Se 1.67
O27 0.8221 0.5006 0.0341  1 Se 1.69
O28 0.8221 0.9994 0.5341  1 Se 1.69
O29 0.9012 0.2366 0.2892  1 C 1.27
O30 0.9012 0.2634 0.7892  1 C 1.27
O31 0.9093 0.5659 0.2100  1 U 1.81
O32 0.9093 0.9341 0.7100  1 U 1.81

Computed properties:
As for the symmetry: P2_1/c, No. 14. The calculation puts the formation energy at -0.8215 eV/atom. For the total energy, the calculation gives -6.151 eV/atom.

---

5.
EuAl2 | GGA-PBE | optimized geometry

Cell lengths 5.7876, 5.7876, 5.7876 Å; angles 60.00, 60.00, 60.00 degrees
Closest atoms and distances in Å follow each position.
Fractional positions:
Eu1 0.1250 0.1250 0.1250  12 Al 3.39, 4 Eu 3.54
Eu2 0.8750 0.8750 0.8750  12 Al 3.39, 4 Eu 3.54
Al1 0.0000 0.5000 0.5000  6 Al 2.89
Al2 0.5000 0.0000 0.5000  6 Al 2.89
Al3 0.5000 0.5000 0.0000  6 Al 2.89
Al4 0.5000 0.5000 0.5000  6 Al 2.89

Computed properties:
As for the symmetry: Fd-3m, No. 227. The calculation puts the formation energy at -0.3886 eV/atom. For the total energy, the calculation gives -6.305 eV/atom.

---

6.
ZnSnP2 | GGA-PBE | optimized geometry

Cell lengths 4.0277, 4.0277, 5.7084 Å; angles 90.00, 90.00, 90.00 degrees
Closest atoms and distances in Å follow each position.
Fractional positions:
Zn1 0.0000 0.0000 0.0000  4 P 2.40
Sn1 0.5000 0.5000 0.5000  4 P 2.55
P1 0.0000 0.5000 0.2271  2 Zn 2.40, 2 Sn 2.55
P2 0.5000 0.0000 0.7729  2 Zn 2.40, 2 Sn 2.55

Computed properties:
As for the symmetry: P-4m2, No. 115. The calculation puts the formation energy at -0.1873 eV/atom. For the total energy, the calculation gives -4.211 eV/atom. The polymorph energy (0 for the lowest one) is 3.8 meV/atom.